# 1
Material: MgAu4Se4Cl4O12
Method: DFT, GGA-PBE
State: relaxed

calculated formation energy = -0.90 eV/atom
offset from the most stable computed form = 1.969 eV/f.u.

a b c (Å): 4.7526 9.9913 11.1097
angles (deg): 95.82 97.64 92.75
Space group P1 (No. 1)
Symmetry-distinct sites (fractional):
Mg 0.0000 0.0000 0.0000 (multiplicity 1)
Au 0.0699 0.1402 0.2305 (multiplicity 1)
Au 0.0943 0.5576 0.4367 (multiplicity 1)
Au 0.1303 0.5700 0.9408 (multiplicity 1)
Au 0.1386 0.9799 0.6244 (multiplicity 1)
Se 0.2735 0.8500 0.3435 (multiplicity 1)
Se 0.3627 0.4277 0.1881 (multiplicity 1)
Se 0.8612 0.6911 0.6862 (multiplicity 1)
Se 0.8963 0.2732 0.5377 (multiplicity 1)
Cl 0.3918 0.3865 0.9070 (multiplicity 1)
Cl 0.5030 0.0426 0.0115 (multiplicity 1)
Cl 0.8523 0.7553 0.9789 (multiplicity 1)
Cl 0.8676 0.0477 0.7789 (multiplicity 1)
O 0.0055 0.7288 0.3577 (multiplicity 1)
O 0.0227 0.9465 0.2716 (multiplicity 1)
O 0.0309 0.5617 0.7562 (multiplicity 1)
O 0.0479 0.3291 0.1729 (multiplicity 1)
O 0.1719 0.7908 0.6810 (multiplicity 1)
O 0.1796 0.3930 0.5199 (multiplicity 1)
O 0.1843 0.1649 0.5737 (multiplicity 1)
O 0.2277 0.5712 0.1227 (multiplicity 1)
O 0.3872 0.9232 0.4935 (multiplicity 1)
O 0.4095 0.5100 0.3358 (multiplicity 1)
O 0.7480 0.2165 0.3969 (multiplicity 1)
O 0.7831 0.6061 0.5411 (multiplicity 1)

=====

# 2
Material: MgAu4Se4Cl4O12
Method: DFT, GGA-PBE
State: relaxed

calculated formation energy = -0.96 eV/atom
offset from the most stable computed form = 0.591 eV/f.u.

a b c (Å): 4.7606 10.6836 11.1336
angles (deg): 90.87 94.41 91.05
Space group P1 (No. 1)
Symmetry-distinct sites (fractional):
Mg 0.0000 0.0000 0.0000 (multiplicity 1)
Au 0.4481 0.8009 0.1322 (multiplicity 1)
Au 0.4667 0.4859 0.8475 (multiplicity 1)
Au 0.5422 0.8857 0.5445 (multiplicity 1)
Au 0.6403 0.2433 0.1769 (multiplicity 1)
Se 0.3032 0.0272 0.2990 (multiplicity 1)
Se 0.4463 0.5300 0.1309 (multiplicity 1)
Se 0.5281 0.1711 0.8707 (multiplicity 1)
Se 0.8152 0.7570 0.7997 (multiplicity 1)
Cl 0.3331 0.0784 0.5701 (multiplicity 1)
Cl 0.5235 0.3373 0.3510 (multiplicity 1)
Cl 0.7039 0.4208 0.6873 (multiplicity 1)
Cl 0.7645 0.6999 0.5137 (multiplicity 1)
O 0.1919 0.9543 0.1586 (multiplicity 1)
O 0.2469 0.5320 0.9927 (multiplicity 1)
O 0.2643 0.0699 0.8907 (multiplicity 1)
O 0.3461 0.3080 0.8907 (multiplicity 1)
O 0.4040 0.8874 0.3653 (multiplicity 1)
O 0.4949 0.6724 0.8140 (multiplicity 1)
O 0.6416 0.0750 0.2611 (multiplicity 1)
O 0.6684 0.8868 0.7209 (multiplicity 1)
O 0.6923 0.4104 0.1012 (multiplicity 1)
O 0.6962 0.6475 0.1191 (multiplicity 1)
O 0.7417 0.1528 0.0158 (multiplicity 1)
O 0.8541 0.8413 0.9305 (multiplicity 1)

=====

# 3
Material: MgAu4Se4Cl4O12
Method: DFT, GGA-PBE
State: relaxed

calculated formation energy = -0.93 eV/atom
offset from the most stable computed form = 1.124 eV/f.u.

a b c (Å): 4.9137 10.2425 11.2238
angles (deg): 101.47 93.63 90.37
Space group P1 (No. 1)
Symmetry-distinct sites (fractional):
Mg 0.0000 0.0000 0.0000 (multiplicity 1)
Au 0.4546 0.8278 0.9842 (multiplicity 1)
Au 0.5061 0.2889 0.6603 (multiplicity 1)
Au 0.5239 0.6718 0.3365 (multiplicity 1)
Au 0.5374 0.2370 0.1668 (multiplicity 1)
Se 0.3568 0.5055 0.0626 (multiplicity 1)
Se 0.4309 0.1210 0.8653 (multiplicity 1)
Se 0.6838 0.9634 0.2629 (multiplicity 1)
Se 0.7780 0.4074 0.4396 (multiplicity 1)
Cl 0.0850 0.8020 0.8441 (multiplicity 1)
Cl 0.2464 0.0956 0.5912 (multiplicity 1)
Cl 0.7664 0.4815 0.7197 (multiplicity 1)
Cl 0.8452 0.7781 0.4824 (multiplicity 1)
O 0.2409 0.5770 0.2067 (multiplicity 1)
O 0.2840 0.1565 0.0145 (multiplicity 1)
O 0.4269 0.0734 0.2378 (multiplicity 1)
O 0.4302 0.2832 0.8363 (multiplicity 1)
O 0.4499 0.8366 0.2639 (multiplicity 1)
O 0.5028 0.5054 0.4080 (multiplicity 1)
O 0.5716 0.2876 0.4847 (multiplicity 1)
O 0.5830 0.6128 0.0292 (multiplicity 1)
O 0.6256 0.3988 0.1015 (multiplicity 1)
O 0.7622 0.1017 0.9045 (multiplicity 1)
O 0.7884 0.9154 0.1120 (multiplicity 1)
O 0.8358 0.3058 0.2992 (multiplicity 1)

=====

# 4
Material: MgAu4Se4Cl4O12
Method: DFT, GGA-PBE
State: relaxed

calculated formation energy = -0.94 eV/atom
offset from the most stable computed form = 1.006 eV/f.u.

a b c (Å): 5.0519 10.1197 11.0263
angles (deg): 96.62 92.04 96.47
Space group P1 (No. 1)
Symmetry-distinct sites (fractional):
Mg 0.0000 0.0000 0.0000 (multiplicity 1)
Au 0.1056 0.9706 0.7039 (multiplicity 1)
Au 0.1500 0.4088 0.4267 (multiplicity 1)
Au 0.1618 0.5652 0.0555 (multiplicity 1)
Au 0.2343 0.9855 0.2322 (multiplicity 1)
Se 0.0343 0.7005 0.3256 (multiplicity 1)
Se 0.3627 0.2989 0.1520 (multiplicity 1)
Se 0.4381 0.8009 0.9001 (multiplicity 1)
Se 0.8077 0.1359 0.4968 (multiplicity 1)
Cl 0.3430 0.8109 0.6103 (multiplicity 1)
Cl 0.4517 0.4885 0.9129 (multiplicity 1)
Cl 0.8563 0.4914 0.5601 (multiplicity 1)
Cl 0.8780 0.1285 0.8198 (multiplicity 1)
O 0.0906 0.3837 0.1174 (multiplicity 1)
O 0.1276 0.2343 0.4987 (multiplicity 1)
O 0.1584 0.1417 0.1326 (multiplicity 1)
O 0.1768 0.7457 0.9909 (multiplicity 1)
O 0.2523 0.5846 0.3589 (multiplicity 1)
O 0.2601 0.9422 0.8744 (multiplicity 1)
O 0.3025 0.8119 0.2974 (multiplicity 1)
O 0.4215 0.3333 0.3066 (multiplicity 1)
O 0.6634 0.8861 0.0048 (multiplicity 1)
O 0.7383 0.0774 0.3515 (multiplicity 1)
O 0.8985 0.6317 0.1794 (multiplicity 1)
O 0.9562 0.9914 0.5376 (multiplicity 1)